(1)
Material: PmErO3
Method: DFT, PBE
State: optimized geometry

Unit cell a=4.2664 b=4.2664 c=4.2664 alpha=90.00 beta=90.00 gamma=90.00
Closest atoms and distances in Å follow each position.
Atoms (fractional coordinates):
Pm1 0.0000 0.0000 0.0000  12 O 3.02
Er1 0.5000 0.5000 0.5000  6 O 2.13
O1 0.5000 0.5000 0.0000  2 Er 2.13
O2 0.0000 0.5000 0.5000  2 Er 2.13
O3 0.5000 0.0000 0.5000  2 Er 2.13

Results
magnetization = 0.000 μB/atom
symmetry = Pm-3m (221)


(2)
Material: Er2Pt2O7
Method: DFT, PBE
State: optimized geometry

Unit cell a=7.2385 b=7.2385 c=7.2385 alpha=60.00 beta=60.00 gamma=60.00
Closest atoms and distances in Å follow each position.
Atoms (fractional coordinates):
O1 0.4676 0.0324 0.0324  2 Pt 2.04
O2 0.5000 0.5000 0.5000  4 Er 2.22
O3 0.2176 0.2176 0.7824  2 Pt 2.04
Pt1 0.1250 0.1250 0.6250  6 O 2.04
O4 0.0324 0.0324 0.4676  2 Pt 2.04
Er1 0.6250 0.6250 0.6250  8 O 2.22-2.42
Er2 0.6250 0.1250 0.6250  8 O 2.22-2.42
O5 0.7824 0.7824 0.2176  2 Pt 2.04
O6 0.7500 0.7500 0.7500  4 Er 2.22
Pt2 0.1250 0.1250 0.1250  6 O 2.04
Er3 0.1250 0.6250 0.6250  8 O 2.22-2.42
O7 0.0324 0.4676 0.0324  2 Pt 2.04
O8 0.7824 0.2176 0.7824  2 Pt 2.04
O9 0.0324 0.4676 0.4676  2 Pt 2.04
Er4 0.6250 0.6250 0.1250  8 O 2.22-2.42
O10 0.2176 0.7824 0.7824  2 Pt 2.04
O11 0.4676 0.4676 0.0324  2 Pt 2.04
Pt3 0.1250 0.6250 0.1250  6 O 2.04
O12 0.7824 0.2176 0.2176  2 Pt 2.04
O13 0.4676 0.0324 0.4676  2 Pt 2.04
O14 0.2176 0.7824 0.2176  2 Pt 2.04
Pt4 0.6250 0.1250 0.1250  6 O 2.04

Results
symmetry = Fd-3m (227)


(3)
Material: Er5Re2O12
Method: DFT, PBE
State: optimized geometry

Unit cell a=6.7889 b=6.7889 c=7.4928 alpha=73.77 beta=73.77 gamma=49.14
Closest atoms and distances in Å follow each position.
Atoms (fractional coordinates):
O1 0.9017 0.4060 0.4258  4 Er 2.26-2.31
O2 0.0881 0.5791 0.0867  1 Re 1.97
O3 0.4993 0.4993 0.1797  2 Re 2.10, 1 Er 2.30
O4 0.5940 0.0983 0.5742  4 Er 2.26-2.31
Er1 0.3029 0.3029 0.3605  7 O 2.26-2.41
O5 0.9994 0.9994 0.7921  2 Re 1.98, 1 Er 2.19
O6 0.5007 0.5007 0.8203  2 Re 2.10, 1 Er 2.30
Re1 0.2145 0.7855 0.0000  6 O 1.97-2.10
O7 0.0006 0.0006 0.2079  2 Re 1.98, 1 Er 2.19
O8 0.9119 0.4209 0.9133  1 Re 1.97
O9 0.5791 0.0881 0.0867  1 Re 1.97
O10 0.4060 0.9017 0.4258  4 Er 2.26-2.31
O11 0.4209 0.9119 0.9133  1 Re 1.97
O12 0.0983 0.5940 0.5742  4 Er 2.26-2.31
Er2 0.3139 0.3139 0.8245  7 O 2.25-2.48
Er3 0.6971 0.6971 0.6395  7 O 2.26-2.41
Er4 0.6861 0.6861 0.1755  7 O 2.25-2.48
Re2 0.7855 0.2145 0.0000  6 O 1.97-2.10
Er5 0.0000 0.0000 0.5000  6 O 2.19-2.30

Results
symmetry = C2/m (12)


(4)
Material: ErRhO3
Method: DFT, PBE
State: optimized geometry

Unit cell a=5.2796 b=5.7680 c=7.6466 alpha=90.00 beta=90.00 gamma=90.00
Closest atoms and distances in Å follow each position.
Atoms (fractional coordinates):
Er1 0.4706 0.9164 0.2500  6 O 2.21-2.47
O1 0.1387 0.9443 0.7500  2 Rh 2.07, 2 Er 2.21-2.26
O2 0.1774 0.6895 0.0658  2 Rh 2.08-2.09, 1 Er 2.25
Rh1 0.5000 0.5000 0.0000  6 O 2.07-2.09
Rh2 0.0000 0.0000 0.0000  6 O 2.07-2.09
O3 0.3613 0.4443 0.7500  2 Rh 2.07, 2 Er 2.21-2.26
O4 0.3226 0.1895 0.0658  2 Rh 2.08-2.09, 1 Er 2.25
Er2 0.0294 0.4164 0.2500  6 O 2.21-2.47
O5 0.6387 0.5557 0.2500  2 Rh 2.07, 2 Er 2.21-2.26
Er3 0.9706 0.5836 0.7500  6 O 2.21-2.47
O6 0.1774 0.6895 0.4342  2 Rh 2.08-2.09, 1 Er 2.25
O7 0.8613 0.0557 0.2500  2 Rh 2.07, 2 Er 2.21-2.26
O8 0.8226 0.3105 0.5658  2 Rh 2.08-2.09, 1 Er 2.25
O9 0.6774 0.8105 0.9342  2 Rh 2.08-2.09, 1 Er 2.25
O10 0.6774 0.8105 0.5658  2 Rh 2.08-2.09, 1 Er 2.25
O11 0.3226 0.1895 0.4342  2 Rh 2.08-2.09, 1 Er 2.25
Er4 0.5294 0.0836 0.7500  6 O 2.21-2.47
Rh3 0.0000 0.0000 0.5000  6 O 2.07-2.09
Rh4 0.5000 0.5000 0.5000  6 O 2.07-2.09
O12 0.8226 0.3105 0.9342  2 Rh 2.08-2.09, 1 Er 2.25

Results
symmetry = Pnma (62)


(5)
Material: Er2SO2
Method: DFT, PBE
State: optimized geometry

Unit cell a=3.7666 b=3.7666 c=6.5616 alpha=90.00 beta=90.00 gamma=120.00
Closest atoms and distances in Å follow each position.
Atoms (fractional coordinates):
O1 0.6667 0.3333 0.3704  4 Er 2.25-2.28
Er1 0.3333 0.6667 0.2828  4 O 2.25-2.28
Er2 0.6667 0.3333 0.7172  4 O 2.25-2.28
O2 0.3333 0.6667 0.6296  4 Er 2.25-2.28
S1 0.0000 0.0000 0.0000  6 Er 2.86

Results
symmetry = P-3m1 (164)


(6)
Material: Er2ZnTe2S2O14
Method: DFT, PBE
State: optimized geometry

Unit cell a=5.2752 b=7.8929 c=8.1704 alpha=64.14 beta=73.40 gamma=85.40
Closest atoms and distances in Å follow each position.
Atoms (fractional coordinates):
Er1 0.0843 0.2538 0.0159  7 O 2.24-2.50
O1 0.7550 0.0777 0.3301  1 Te 1.92, 1 Zn 2.03
O2 0.2450 0.9223 0.6699  1 Te 1.92, 1 Zn 2.03
O3 0.1340 0.7706 0.4284  1 S 1.48
O4 0.5275 0.7305 0.2122  1 S 1.49
O5 0.4725 0.2695 0.7878  1 S 1.49
O6 0.8660 0.2294 0.5716  1 S 1.48
O7 0.8975 0.4050 0.7501  1 S 1.49
O8 0.2766 0.1955 0.2453  1 Te 1.90
Te1 0.4815 0.7257 0.6649  3 O 1.90-1.92
O9 0.7570 0.4394 0.1025  1 Te 1.90
O10 0.1025 0.5950 0.2499  1 S 1.49
Zn1 0.0000 0.0000 0.5000  6 O 2.03-2.16
O11 0.8235 0.0733 0.9132  1 S 1.51
O12 0.2430 0.5606 0.8975  1 Te 1.90
S1 0.2375 0.7551 0.2472  4 O 1.48-1.51
Te2 0.5185 0.2743 0.3351  3 O 1.90-1.92
O13 0.1765 0.9267 0.0868  1 S 1.51
S2 0.7625 0.2449 0.7528  4 O 1.48-1.51
Er2 0.9157 0.7462 0.9841  7 O 2.24-2.50
O14 0.7234 0.8045 0.7547  1 Te 1.90

Results
magnetization = 0.000 μB/atom
symmetry = P-1 (2)


(7)
Material: Er2US3O2
Method: DFT, PBE
State: optimized geometry

Unit cell a=10.8891 b=10.8891 c=10.8891 alpha=160.04 beta=160.04 gamma=28.37
Closest atoms and distances in Å follow each position.
Atoms (fractional coordinates):
U1 0.1901 0.1901 0.0000  4 O 2.26
Er1 0.4970 0.4970 0.0000  6 S 2.65-2.77
S1 0.0025 0.0025 0.0000  4 Er 2.67
O1 0.7494 0.2494 0.5000  2 U 2.26, 2 Er 2.31
S2 0.3713 0.3713 0.0000  5 Er 2.65-2.95
S3 0.6280 0.6280 0.0000  1 Er 2.77, 4 U 2.97
O2 0.2494 0.7494 0.5000  2 U 2.26, 2 Er 2.31
Er2 0.8122 0.8122 0.0000  4 O 2.31

Results
magnetization = 0.241 μB/atom
symmetry = I4mm (107)


| no. | calculated total energy (eV for the cell shown) | calculated formation energy (meV per atom) | calculated volume (Å³ per cell) |
| --- | --- | --- | --- |
| 1 | -38.7 | -3312 | 77.7 |
| 2 | -156.7 | -2478 | 268.2 |
| 3 | -163.0 | -3378 | 248.5 |
| 4 | -150.8 | -2597 | 232.9 |
| 5 | -39.3 | -3608 | 80.6 |
| 6 | -134.5 | -2377 | 293.0 |
| 7 | -62.9 | -2884 | 150.3 |